[1]
Below is an optimized crystal structure of ScCrGe2, with properties calculated at the GGA-PBE level.

## Properties
Energy relative to the elements = -0.478 eV/atom
DFT total energy = -6.786 eV per atom
V = 16.25 A^3/atom
Magnetic moment = 0.41 μB/f.u.

Lattice parameters (Å, degrees): 9.4217 10.1269 8.1733 90.00 90.00 90.00
Space group Pbam (No. 55)
Unique sites:
Sc: 0.1653 0.1799 0.0000 (multiplicity 4)
Sc: 0.1699 0.4539 0.2443 (multiplicity 8)
Cr: 0.0000 0.0000 0.2449 (multiplicity 4)
Cr: 0.0813 0.7549 0.2494 (multiplicity 8)
Ge: 0.0406 0.6204 0.0000 (multiplicity 4)
Ge: 0.0420 0.6225 0.5000 (multiplicity 4)
Ge: 0.1262 0.9071 0.5000 (multiplicity 4)
Ge: 0.1329 0.9003 0.0000 (multiplicity 4)
Ge: 0.1690 0.1823 0.3403 (multiplicity 8)

[2]
Below is an optimized crystal structure of Tb2CrGe4, with properties calculated at the GGA-PBE level.

## Properties
Energy relative to the elements = -0.479 eV/atom
DFT total energy = -5.824 eV per atom
V = 20.70 A^3/atom
Magnetic moment = 0.00 μB/f.u.

Lattice parameters (Å, degrees): 4.3080 4.3415 15.4955 90.00 90.00 90.00
Space group Amm2 (No. 38)
Unique sites:
Tb: 0.0000 0.0000 0.0000 (multiplicity 2)
Tb: 0.5000 0.0000 0.2022 (multiplicity 2)
Cr: 0.5000 0.0000 0.3965 (multiplicity 2)
Ge: 0.0000 0.0000 0.3511 (multiplicity 2)
Ge: 0.0000 0.0000 0.6603 (multiplicity 2)
Ge: 0.5000 0.0000 0.5504 (multiplicity 2)
Ge: 0.5000 0.0000 0.8468 (multiplicity 2)

[3]
Below is an optimized crystal structure of CrGeTe3, with properties calculated at the GGA-PBE level.

## Properties
Energy relative to the elements = -0.420 eV/atom
DFT total energy = -4.908 eV per atom
V = 30.10 A^3/atom

Lattice parameters (Å, degrees): 6.9129 6.9129 21.8184 90.00 90.00 120.00
Space group R-3 (No. 148, hexagonal axes)
Unique sites:
Cr: 0.0000 0.0000 0.1664 (multiplicity 6)
Ge: 0.0000 0.0000 0.4446 (multiplicity 6)
Te: 0.0006 0.3733 0.4211 (multiplicity 18)

[4]
Below is an optimized crystal structure of ThCr2Ge2, with properties calculated at the GGA-PBE level.

## Properties
Energy relative to the elements = -0.287 eV/atom
DFT total energy = -7.480 eV per atom
V = 18.55 A^3/atom
Magnetic moment = 4.73 μB/f.u.

Lattice parameters (Å, degrees): 4.1744 4.1744 10.6426 90.00 90.00 90.00
Space group I4/mmm (No. 139)
Unique sites:
Th: 0.0000 0.0000 0.0000 (multiplicity 2)
Cr: 0.0000 0.5000 0.2500 (multiplicity 4)
Ge: 0.0000 0.0000 0.3764 (multiplicity 4)

The highest energy relative to the elements belongs to which entry? ThCr2Ge2

Copy entry 3 word for word.
Below is an optimized crystal structure of CrGeTe3, with properties calculated at the GGA-PBE level.

## Properties
Energy relative to the elements = -0.420 eV/atom
DFT total energy = -4.908 eV per atom
V = 30.10 A^3/atom

Lattice parameters (Å, degrees): 6.9129 6.9129 21.8184 90.00 90.00 120.00
Space group R-3 (No. 148, hexagonal axes)
Unique sites:
Cr: 0.0000 0.0000 0.1664 (multiplicity 6)
Ge: 0.0000 0.0000 0.4446 (multiplicity 6)
Te: 0.0006 0.3733 0.4211 (multiplicity 18)

The highest energy relative to the elements belongs to which entry? ThCr2Ge2